# Sr2Co2O5 GGA+U relaxed
data_Sr2Co2O5
_cell_length_a 5.428
_cell_length_b 16.282
_cell_length_c 5.539
_cell_angle_alpha 90.00
_cell_angle_beta 90.00
_cell_angle_gamma 90.00
_space_group_name_H-M_alt 'P 1'
_space_group_IT_number 1
_space_group_name_Hall 'P 1'
loop_
_atom_site_label
_atom_site_fract_x
_atom_site_fract_y
_atom_site_fract_z
_atom_site_occupancy
Sr1 0.001 0.110 0.009 1
Sr2 0.001 0.390 0.009 1
Sr3 0.499 0.610 0.509 1
Sr4 0.499 0.890 0.509 1
Sr5 0.501 0.110 0.491 1
Sr6 0.501 0.390 0.491 1
Sr7 0.999 0.610 0.991 1
Sr8 0.999 0.890 0.991 1
Co1 0.000 0.000 0.500 1
Co2 0.000 0.500 0.500 1
Co3 0.029 0.750 0.439 1
Co4 0.471 0.250 0.939 1
Co5 0.500 0.000 0.000 1
Co6 0.500 0.500 0.000 1
Co7 0.529 0.750 0.061 1
Co8 0.971 0.250 0.561 1
O1 0.016 0.145 0.463 1
O2 0.016 0.355 0.463 1
O3 0.121 0.250 0.876 1
O4 0.249 0.504 0.249 1
O5 0.249 0.996 0.249 1
O6 0.251 0.004 0.749 1
O7 0.251 0.496 0.749 1
O8 0.379 0.750 0.376 1
O9 0.484 0.645 0.963 1
O10 0.484 0.855 0.963 1
O11 0.516 0.145 0.037 1
O12 0.516 0.355 0.037 1
O13 0.621 0.250 0.624 1
O14 0.749 0.504 0.251 1
O15 0.749 0.996 0.251 1
O16 0.751 0.004 0.751 1
O17 0.751 0.496 0.751 1
O18 0.879 0.750 0.124 1
O19 0.984 0.645 0.537 1
O20 0.984 0.855 0.537 1
# **Space-group type**: No. 62
# **Polymorph energy (0 for the lowest one)**: 0.001 eV per atom

---

# Li7Co5O12 GGA+U relaxed
data_Li7Co5O12
_cell_length_a 5.111
_cell_length_b 5.848
_cell_length_c 7.621
_cell_angle_alpha 100.17
_cell_angle_beta 108.75
_cell_angle_gamma 90.01
_space_group_name_H-M_alt 'P 1'
_space_group_IT_number 1
_space_group_name_Hall 'P 1'
loop_
_atom_site_label
_atom_site_fract_x
_atom_site_fract_y
_atom_site_fract_z
_atom_site_occupancy
Li1 0.000 0.000 0.000 1
Li2 0.495 0.754 0.999 1
Li3 0.496 0.587 0.334 1
Li4 0.499 0.921 0.664 1
Li5 0.501 0.079 0.336 1
Li6 0.504 0.413 0.666 1
Li7 0.505 0.246 0.001 1
Co1 0.000 0.326 0.331 1
Co2 0.000 0.500 0.000 1
Co3 0.000 0.674 0.669 1
Co4 0.010 0.160 0.677 1
Co5 0.990 0.840 0.323 1
O1 0.215 0.312 0.165 1
O2 0.219 0.765 0.157 1
O3 0.222 0.628 0.500 1
O4 0.228 0.458 0.839 1
O5 0.236 0.122 0.491 1
O6 0.241 0.962 0.819 1
O7 0.759 0.038 0.181 1
O8 0.764 0.878 0.509 1
O9 0.772 0.542 0.161 1
O10 0.778 0.372 0.500 1
O11 0.781 0.235 0.843 1
O12 0.785 0.688 0.835 1
# **Space-group type**: No. 2
# **Polymorph energy (0 for the lowest one)**: 0.057 eV per atom

---

# LiFe2OF5 GGA+U relaxed
data_LiFe2OF5
_cell_length_a 9.057
_cell_length_b 9.057
_cell_length_c 5.432
_cell_angle_alpha 99.38
_cell_angle_beta 99.38
_cell_angle_gamma 143.57
_space_group_name_H-M_alt 'P 1'
_space_group_IT_number 1
_space_group_name_Hall 'P 1'
loop_
_atom_site_label
_atom_site_fract_x
_atom_site_fract_y
_atom_site_fract_z
_atom_site_occupancy
Li1 0.000 0.000 0.000 1
Li2 0.767 0.233 0.500 1
Fe1 0.181 0.819 0.000 1
Fe2 0.260 0.740 0.500 1
Fe3 0.600 0.400 0.500 1
Fe4 0.934 0.066 0.500 1
O1 0.411 0.043 0.430 1
O2 0.957 0.589 0.570 1
F1 0.038 0.521 0.065 1
F2 0.085 0.400 0.497 1
F3 0.131 0.265 0.899 1
F4 0.258 0.226 0.469 1
F5 0.364 0.173 0.064 1
F6 0.479 0.962 0.935 1
F7 0.600 0.915 0.503 1
F8 0.735 0.869 0.101 1
F9 0.774 0.742 0.531 1
F10 0.827 0.636 0.936 1
# **Space-group type**: No. 5
# **Polymorph energy (0 for the lowest one)**: 0.076 eV per atom

---

# Mg2Ni3O8 GGA+U relaxed
data_Mg2Ni3O8
_cell_length_a 5.770
_cell_length_b 5.770
_cell_length_c 4.786
_cell_angle_alpha 106.96
_cell_angle_beta 106.96
_cell_angle_gamma 58.82
_space_group_name_H-M_alt 'P 1'
_space_group_IT_number 1
_space_group_name_Hall 'P 1'
loop_
_atom_site_label
_atom_site_fract_x
_atom_site_fract_y
_atom_site_fract_z
_atom_site_occupancy
Mg1 0.220 0.220 0.149 1
Mg2 0.780 0.780 0.851 1
Ni1 0.245 0.755 0.500 1
Ni2 0.500 0.500 0.000 1
Ni3 0.755 0.245 0.500 1
O1 0.110 0.110 0.446 1
O2 0.162 0.612 0.103 1
O3 0.388 0.838 0.897 1
O4 0.397 0.397 0.591 1
O5 0.603 0.603 0.409 1
O6 0.612 0.162 0.103 1
O7 0.838 0.388 0.897 1
O8 0.890 0.890 0.554 1
# **Space-group type**: No. 12
# **Polymorph energy (0 for the lowest one)**: 0.000 eV per atom

---

# KV4P7O24 GGA+U relaxed
data_KV4P7O24
_cell_length_a 10.265
_cell_length_b 10.377
_cell_length_c 10.844
_cell_angle_alpha 108.80
_cell_angle_beta 111.68
_cell_angle_gamma 104.43
_space_group_name_H-M_alt 'P 1'
_space_group_IT_number 1
_space_group_name_Hall 'P 1'
loop_
_atom_site_label
_atom_site_fract_x
_atom_site_fract_y
_atom_site_fract_z
_atom_site_occupancy
K1 0.041 0.249 0.175 1
K2 0.959 0.751 0.825 1
V1 0.001 0.105 0.755 1
V2 0.011 0.662 0.386 1
V3 0.486 0.830 0.912 1
V4 0.500 0.386 0.575 1
V5 0.500 0.614 0.425 1
V6 0.514 0.170 0.088 1
V7 0.989 0.338 0.614 1
V8 0.999 0.895 0.245 1
P1 0.233 0.177 0.616 1
P2 0.239 0.964 0.741 1
P3 0.250 0.541 0.552 1
P4 0.251 0.609 0.978 1
P5 0.273 0.781 0.273 1
P6 0.303 0.059 0.239 1
P7 0.307 0.377 0.065 1
P8 0.693 0.623 0.935 1
P9 0.697 0.941 0.761 1
P10 0.727 0.219 0.727 1
P11 0.749 0.391 0.022 1
P12 0.750 0.459 0.448 1
P13 0.761 0.036 0.259 1
P14 0.767 0.823 0.384 1
O1 0.106 0.509 0.831 1
O2 0.121 0.217 0.673 1
O3 0.126 0.986 0.162 1
O4 0.127 0.992 0.797 1
O5 0.134 0.278 0.962 1
O6 0.135 0.779 0.299 1
O7 0.137 0.409 0.549 1
O8 0.144 0.060 0.454 1
O9 0.153 0.565 0.420 1
O10 0.162 0.825 0.595 1
O11 0.193 0.663 0.099 1
O12 0.314 0.105 0.717 1
O13 0.338 0.678 0.703 1
O14 0.339 0.441 0.227 1
O15 0.347 0.520 0.030 1
O16 0.355 0.066 0.127 1
O17 0.355 0.750 0.992 1
O18 0.361 0.942 0.294 1
O19 0.365 0.314 0.657 1
O20 0.371 0.497 0.510 1
O21 0.374 0.208 0.375 1
O22 0.380 0.973 0.870 1
O23 0.385 0.742 0.370 1
O24 0.410 0.303 0.039 1
O25 0.590 0.697 0.961 1
O26 0.615 0.258 0.630 1
O27 0.620 0.027 0.130 1
O28 0.626 0.792 0.625 1
O29 0.629 0.503 0.490 1
O30 0.635 0.686 0.343 1
O31 0.639 0.058 0.706 1
O32 0.645 0.250 0.008 1
O33 0.645 0.934 0.873 1
O34 0.653 0.480 0.970 1
O35 0.661 0.559 0.773 1
O36 0.662 0.322 0.297 1
O37 0.686 0.895 0.283 1
O38 0.807 0.337 0.901 1
O39 0.838 0.175 0.405 1
O40 0.847 0.435 0.580 1
O41 0.856 0.940 0.546 1
O42 0.863 0.591 0.451 1
O43 0.865 0.221 0.701 1
O44 0.866 0.722 0.038 1
O45 0.873 0.008 0.203 1
O46 0.874 0.014 0.838 1
O47 0.879 0.783 0.327 1
O48 0.894 0.491 0.169 1
# **Raw total energy**: -7.442 eV/atom
# **Space-group type**: No. 2

---

# LiFeP4O12 GGA+U relaxed
data_LiFeP4O12
_cell_length_a 10.222
_cell_length_b 9.593
_cell_length_c 11.403
_cell_angle_alpha 90.00
_cell_angle_beta 122.73
_cell_angle_gamma 90.00
_space_group_name_H-M_alt 'P 1'
_space_group_IT_number 1
_space_group_name_Hall 'P 1'
loop_
_atom_site_label
_atom_site_fract_x
_atom_site_fract_y
_atom_site_fract_z
_atom_site_occupancy
Li1 0.142 0.045 0.026 1
Li2 0.142 0.455 0.526 1
Li3 0.858 0.545 0.474 1
Li4 0.858 0.955 0.974 1
Fe1 0.199 0.665 0.210 1
Fe2 0.199 0.835 0.710 1
Fe3 0.801 0.165 0.290 1
Fe4 0.801 0.335 0.790 1
P1 0.099 0.108 0.261 1
P2 0.099 0.392 0.761 1
P3 0.200 0.172 0.657 1
P4 0.200 0.328 0.157 1
P5 0.284 0.615 0.975 1
P6 0.284 0.885 0.475 1
P7 0.482 0.003 0.750 1
P8 0.482 0.497 0.250 1
P9 0.518 0.503 0.750 1
P10 0.518 0.997 0.250 1
P11 0.716 0.115 0.525 1
P12 0.716 0.385 0.025 1
P13 0.800 0.672 0.843 1
P14 0.800 0.828 0.343 1
P15 0.901 0.608 0.239 1
P16 0.901 0.892 0.739 1
O1 0.034 0.685 0.246 1
O2 0.034 0.815 0.746 1
O3 0.055 0.010 0.143 1
O4 0.055 0.490 0.643 1
O5 0.113 0.249 0.024 1
O6 0.113 0.251 0.524 1
O7 0.133 0.035 0.669 1
O8 0.133 0.465 0.169 1
O9 0.200 0.031 0.408 1
O10 0.200 0.469 0.908 1
O11 0.200 0.685 0.036 1
O12 0.200 0.815 0.536 1
O13 0.224 0.225 0.281 1
O14 0.224 0.275 0.781 1
O15 0.309 0.696 0.876 1
O16 0.309 0.804 0.376 1
O17 0.350 0.535 0.657 1
O18 0.350 0.965 0.157 1
O19 0.379 0.145 0.704 1
O20 0.379 0.355 0.204 1
O21 0.413 0.598 0.304 1
O22 0.413 0.902 0.804 1
O23 0.449 0.558 0.102 1
O24 0.449 0.942 0.602 1
O25 0.551 0.058 0.398 1
O26 0.551 0.442 0.898 1
O27 0.587 0.098 0.196 1
O28 0.587 0.402 0.696 1
O29 0.621 0.645 0.796 1
O30 0.621 0.855 0.296 1
O31 0.650 0.035 0.843 1
O32 0.650 0.465 0.343 1
O33 0.691 0.196 0.624 1
O34 0.691 0.304 0.124 1
O35 0.776 0.725 0.219 1
O36 0.776 0.775 0.719 1
O37 0.800 0.185 0.464 1
O38 0.800 0.315 0.964 1
O39 0.800 0.531 0.092 1
O40 0.800 0.969 0.592 1
O41 0.867 0.535 0.831 1
O42 0.867 0.965 0.331 1
O43 0.887 0.749 0.476 1
O44 0.887 0.751 0.976 1
O45 0.945 0.510 0.357 1
O46 0.945 0.990 0.857 1
O47 0.966 0.185 0.254 1
O48 0.966 0.315 0.754 1
# **Space-group type**: No. 14
# **Polymorph energy (0 for the lowest one)**: 0.072 eV per atom